[1]
First-principles (PBE with a Hubbard U) data for a geometry-optimized Li2MnVP2H2O10 structure, as listed in the Materials Project database.

abc: 5.4338 7.3954 14.4455
angles: 93.82 94.31 105.86
Fractional coordinates of all 54 atoms:
Li: 0.0189 0.0947 0.4157
Li: 0.3178 0.2484 0.9159
Li: 0.3565 0.4170 0.7482
Li: 0.6435 0.5830 0.2518
Li: 0.6822 0.7516 0.0841
Li: 0.9811 0.9053 0.5843
Mn: 0.1631 0.6671 0.1672
Mn: 0.5000 0.5000 0.5000
Mn: 0.8369 0.3329 0.8328
V: 0.1644 0.1684 0.1677
V: 0.5000 0.0000 0.5000
V: 0.8356 0.8316 0.8323
P: 0.0244 0.6599 0.3922
P: 0.3060 0.6713 0.9383
P: 0.3648 0.9951 0.7264
P: 0.6352 0.0049 0.2736
P: 0.6940 0.3287 0.0617
P: 0.9756 0.3401 0.6078
H: 0.1132 0.8952 0.0495
H: 0.2182 0.4427 0.2866
H: 0.4447 0.2200 0.3815
H: 0.5553 0.7800 0.6185
H: 0.7818 0.5573 0.7134
H: 0.8868 0.1048 0.9505
O: 0.0244 0.7223 0.2922
O: 0.0591 0.8938 0.1135
O: 0.0783 0.8840 0.7331
O: 0.1201 0.7956 0.9200
O: 0.1255 0.8415 0.4634
O: 0.1868 0.5211 0.4043
O: 0.2284 0.4895 0.8702
O: 0.2674 0.4410 0.2212
O: 0.2677 0.4348 0.5988
O: 0.3036 0.6231 0.0404
O: 0.3670 0.0439 0.6237
O: 0.4013 0.2213 0.4472
O: 0.4085 0.2152 0.0696
O: 0.4448 0.1773 0.7937
O: 0.4515 0.1308 0.2562
O: 0.5485 0.8692 0.7438
O: 0.5552 0.8227 0.2063
O: 0.5915 0.7848 0.9304
O: 0.5987 0.7787 0.5528
O: 0.6330 0.9561 0.3763
O: 0.6964 0.3769 0.9596
O: 0.7323 0.5652 0.4012
O: 0.7326 0.5590 0.7788
O: 0.7716 0.5105 0.1298
O: 0.8132 0.4789 0.5957
O: 0.8745 0.1585 0.5366
O: 0.8799 0.2044 0.0800
O: 0.9217 0.1160 0.2669
O: 0.9409 0.1062 0.8865
O: 0.9756 0.2777 0.7078

Calculated values
M_tot = 6.00 μB/f.u.
E (MP2020) = -397.04 eV for the cell shown

***

[2]
First-principles (PBE with a Hubbard U) data for a geometry-optimized Li2MnVP2H2O10 structure, as listed in the Materials Project database.

abc: 5.1772 7.4135 10.2977
angles: 102.39 97.62 105.29
Fractional coordinates of all 36 atoms:
Li: 0.0000 0.0000 0.0000
Li: 0.2258 0.7227 0.0655
Li: 0.4876 0.4936 0.4998
Li: 0.7177 0.2110 0.5733
Mn: 0.1069 0.8543 0.5356
Mn: 0.8614 0.6082 0.7859
V: 0.3506 0.1031 0.2844
V: 0.6076 0.3568 0.0323
P: 0.2345 0.3061 0.7188
P: 0.4902 0.9075 0.8526
P: 0.7308 0.8086 0.2188
P: 0.9696 0.4006 0.3471
H: 0.0195 0.4083 0.9206
H: 0.1961 0.3072 0.1455
H: 0.5115 0.8983 0.4227
H: 0.7043 0.8098 0.6501
O: 0.0105 0.8774 0.1746
O: 0.0468 0.1040 0.6300
O: 0.0584 0.4430 0.6948
O: 0.1433 0.2659 0.3737
O: 0.1519 0.6013 0.4395
O: 0.2199 0.8480 0.9026
O: 0.2899 0.3137 0.8716
O: 0.3114 0.2217 0.1244
O: 0.3959 0.9855 0.4465
O: 0.4461 0.9006 0.7009
O: 0.5006 0.3689 0.6665
O: 0.5542 0.6073 0.1243
O: 0.5582 0.9435 0.1898
O: 0.6624 0.7692 0.8808
O: 0.6757 0.1107 0.9422
O: 0.6946 0.3314 0.3942
O: 0.7685 0.8095 0.3691
O: 0.8156 0.7195 0.6249
O: 0.9115 0.4989 0.9448
O: 0.9221 0.3978 0.1953

Calculated values
M_tot = 6.00 μB/f.u.
E (MP2020) = -264.90 eV for the cell shown

***

| no. | formation energy from the elements (kJ per mole of atoms) | total DFT energy (no corrections) (eV per atom) |
| --- | --- | --- |
| 1 | -231.5 | -6.784 |
| 2 | -232.1 | -6.790 |